(1)
{
  "formula": "Li3MnCoO5",
  "functional": "PBE with a Hubbard U",
  "state": "optimized geometry",
  "density_g_cm3": 3.9,
  "energy_ev_per_atom": -5.90,
  "formation_enthalpy_0k_ev_per_fu": -18.99,
  "e_above_lowest_polymorph_ev_per_atom": 0.061,
  "cell": [[6.593, -8.036, -2.805], [7.775, -5.962, -4.463], [4.155, 0.939, 4.136]],
  "species": ["O", "O", "O", "O", "O", "O", "O", "O", "O", "O", "Li", "Li", "Li", "Li", "Li", "Li", "Co", "Co", "Mn", "Mn"],
  "fractional_positions": [[0.704, 0.704, 0.682], [0.111, 0.111, 0.933], [0.505, 0.505, 0.754], [0.103, 0.103, 0.464], [0.296, 0.296, 0.318], [0.495, 0.495, 0.246], [0.295, 0.295, 0.879], [0.705, 0.705, 0.121], [0.889, 0.889, 0.067], [0.897, 0.897, 0.536], [0.805, 0.805, 0.594], [0.409, 0.409, 0.782], [0.000, 0.000, 0.500], [0.000, 0.000, 0.000], [0.591, 0.591, 0.218], [0.195, 0.195, 0.406], [0.411, 0.411, 0.309], [0.589, 0.589, 0.691], [0.199, 0.199, 0.898], [0.801, 0.801, 0.102]]
}

=====

(2)
{
  "formula": "Li5Mn2Co2P4O16",
  "functional": "PBE with a Hubbard U",
  "state": "optimized geometry",
  "density_g_cm3": 3.4,
  "energy_ev_per_atom": -6.75,
  "formation_enthalpy_0k_ev_per_fu": -70.47,
  "cell": [[-0.124, -1.497, -4.639], [-1.231, -5.808, 1.940], [-10.149, 2.382, -0.355]],
  "species": ["O", "O", "O", "O", "O", "O", "O", "O", "O", "O", "O", "O", "O", "O", "O", "O", "Li", "Li", "Li", "Li", "Li", "P", "P", "P", "P", "Mn", "Mn", "Co", "Co"],
  "fractional_positions": [[0.257, 0.056, 0.158], [0.214, 0.448, 0.678], [0.777, 0.246, 0.596], [0.291, 0.751, 0.896], [0.710, 0.753, 0.048], [0.767, 0.949, 0.340], [0.221, 0.763, 0.403], [0.709, 0.252, 0.106], [0.269, 0.458, 0.163], [0.744, 0.942, 0.841], [0.216, 0.263, 0.459], [0.783, 0.737, 0.540], [0.227, 0.054, 0.660], [0.293, 0.246, 0.952], [0.728, 0.541, 0.837], [0.790, 0.554, 0.321], [0.889, 0.523, 0.130], [0.516, 0.490, 0.508], [0.485, 0.995, 0.494], [0.111, 0.477, 0.871], [0.022, 0.990, 0.992], [0.094, 0.253, 0.596], [0.606, 0.745, 0.906], [0.906, 0.751, 0.403], [0.395, 0.255, 0.095], [0.550, 0.228, 0.779], [0.450, 0.769, 0.221], [0.030, 0.766, 0.706], [0.970, 0.234, 0.291]]
}

=====

(3)
{
  "formula": "Li7MnCo3P6O24",
  "functional": "PBE with a Hubbard U",
  "state": "optimized geometry",
  "density_g_cm3": 3.0,
  "energy_ev_per_atom": -6.55,
  "formation_enthalpy_0k_ev_per_fu": -96.34,
  "cell": [[7.474, -4.432, 0.000], [7.474, 4.432, 0.000], [4.847, 0.000, 7.212]],
  "species": ["O", "O", "O", "O", "O", "O", "O", "O", "O", "O", "O", "O", "O", "O", "O", "O", "O", "O", "O", "O", "O", "O", "O", "O", "Co", "Co", "Co", "Li", "Li", "Li", "Li", "Li", "Li", "Li", "P", "P", "P", "P", "P", "P", "Mn"],
  "fractional_positions": [[0.123, 0.285, 0.524], [0.272, 0.080, 0.892], [0.735, 0.921, 0.092], [0.802, 0.623, 0.006], [0.875, 0.706, 0.483], [0.421, 0.566, 0.770], [0.006, 0.802, 0.623], [0.524, 0.123, 0.285], [0.921, 0.092, 0.735], [0.219, 0.568, 0.462], [0.892, 0.272, 0.080], [0.770, 0.421, 0.566], [0.706, 0.483, 0.875], [0.978, 0.206, 0.384], [0.568, 0.462, 0.219], [0.462, 0.219, 0.568], [0.566, 0.770, 0.421], [0.483, 0.875, 0.706], [0.623, 0.006, 0.802], [0.285, 0.524, 0.123], [0.092, 0.735, 0.921], [0.206, 0.384, 0.978], [0.080, 0.892, 0.272], [0.384, 0.978, 0.206], [0.352, 0.352, 0.352], [0.650, 0.650, 0.650], [0.855, 0.855, 0.855], [0.875, 0.693, 0.253], [0.693, 0.253, 0.875], [0.517, 0.517, 0.517], [0.253, 0.875, 0.693], [0.323, 0.729, 0.147], [0.147, 0.323, 0.729], [0.729, 0.147, 0.323], [0.745, 0.464, 0.044], [0.546, 0.951, 0.250], [0.044, 0.745, 0.464], [0.951, 0.250, 0.546], [0.250, 0.546, 0.951], [0.464, 0.044, 0.745], [0.144, 0.144, 0.144]]
}

=====

(4)
{
  "formula": "Li6Mn3CoP6O24",
  "functional": "PBE with a Hubbard U",
  "state": "optimized geometry",
  "density_g_cm3": 3.0,
  "energy_ev_per_atom": -6.82,
  "formation_enthalpy_0k_ev_per_fu": -98.55,
  "cell": [[-7.123, 4.150, 2.098], [-6.667, -0.512, -5.303], [-6.755, -4.570, 2.583]],
  "species": ["O", "O", "O", "O", "O", "O", "O", "O", "O", "O", "O", "O", "O", "O", "O", "O", "O", "O", "O", "O", "O", "O", "O", "O", "P", "P", "P", "P", "P", "P", "Li", "Li", "Li", "Li", "Li", "Li", "Mn", "Mn", "Mn", "Co"],
  "fractional_positions": [[0.564, 0.774, 0.399], [0.072, 0.886, 0.259], [0.116, 0.324, 0.499], [0.308, 0.536, 0.124], [0.953, 0.091, 0.726], [0.428, 0.242, 0.585], [0.762, 0.406, 0.567], [0.695, 0.471, 0.901], [0.415, 0.576, 0.767], [0.479, 0.136, 0.297], [0.244, 0.581, 0.439], [0.578, 0.439, 0.249], [0.375, 0.975, 0.192], [0.881, 0.685, 0.499], [0.910, 0.252, 0.079], [0.998, 0.192, 0.378], [0.607, 0.036, 0.798], [0.487, 0.889, 0.688], [0.028, 0.806, 0.607], [0.803, 0.605, 0.036], [0.218, 0.379, 0.002], [0.260, 0.056, 0.915], [0.723, 0.958, 0.081], [0.088, 0.737, 0.946], [0.751, 0.443, 0.060], [0.255, 0.551, 0.965], [0.962, 0.251, 0.538], [0.047, 0.744, 0.456], [0.448, 0.053, 0.747], [0.532, 0.964, 0.245], [0.349, 0.751, 0.149], [0.224, 0.849, 0.658], [0.834, 0.663, 0.225], [0.507, 0.472, 0.509], [0.663, 0.218, 0.852], [0.991, 0.008, 0.007], [0.140, 0.144, 0.139], [0.647, 0.641, 0.652], [0.354, 0.360, 0.362], [0.853, 0.855, 0.850]]
}

=====

(5)
{
  "formula": "Li8MnCo7P12O48",
  "functional": "PBE with a Hubbard U",
  "state": "optimized geometry",
  "density_g_cm3": 3.0,
  "energy_ev_per_atom": -6.60,
  "formation_enthalpy_0k_ev_per_fu": -171.06,
  "cell": [[8.664, 0.000, 0.000], [-0.021, 8.757, 0.000], [-0.041, -0.009, 12.099]],
  "species": ["O", "O", "O", "O", "O", "O", "O", "O", "O", "O", "O", "O", "O", "O", "O", "O", "O", "O", "O", "O", "O", "O", "O", "O", "O", "O", "O", "O", "O", "O", "O", "O", "O", "O", "O", "O", "O", "O", "O", "O", "O", "O", "O", "O", "O", "O", "O", "O", "P", "P", "P", "P", "P", "P", "P", "P", "P", "P", "P", "P", "Co", "Co", "Co", "Co", "Co", "Co", "Co", "Li", "Li", "Li", "Li", "Li", "Li", "Li", "Li", "Mn"],
  "fractional_positions": [[0.156, 0.937, 0.030], [0.441, 0.860, 0.929], [0.055, 0.147, 0.426], [0.328, 0.517, 0.273], [0.174, 0.485, 0.774], [0.824, 0.516, 0.230], [0.675, 0.008, 0.274], [0.058, 0.363, 0.571], [0.559, 0.142, 0.072], [0.144, 0.836, 0.419], [0.675, 0.484, 0.724], [0.826, 0.986, 0.773], [0.428, 0.602, 0.653], [0.927, 0.897, 0.156], [0.851, 0.342, 0.419], [0.836, 0.232, 0.182], [0.851, 0.166, 0.579], [0.442, 0.641, 0.071], [0.940, 0.640, 0.424], [0.354, 0.163, 0.920], [0.578, 0.399, 0.344], [0.572, 0.104, 0.655], [0.646, 0.663, 0.919], [0.663, 0.767, 0.678], [0.145, 0.662, 0.579], [0.073, 0.396, 0.158], [0.842, 0.442, 0.034], [0.074, 0.103, 0.845], [0.161, 0.767, 0.821], [0.838, 0.268, 0.821], [0.427, 0.891, 0.345], [0.656, 0.934, 0.472], [0.162, 0.733, 0.180], [0.337, 0.267, 0.679], [0.346, 0.233, 0.320], [0.663, 0.727, 0.323], [0.155, 0.564, 0.972], [0.926, 0.602, 0.845], [0.347, 0.437, 0.471], [0.343, 0.064, 0.527], [0.846, 0.065, 0.972], [0.656, 0.564, 0.526], [0.174, 0.015, 0.228], [0.940, 0.858, 0.571], [0.326, 0.984, 0.725], [0.352, 0.337, 0.080], [0.648, 0.837, 0.080], [0.560, 0.360, 0.929], [0.035, 0.750, 0.500], [0.605, 0.890, 0.355], [0.538, 0.750, 0.000], [0.106, 0.894, 0.147], [0.961, 0.253, 0.500], [0.394, 0.106, 0.646], [0.105, 0.606, 0.854], [0.894, 0.393, 0.149], [0.397, 0.396, 0.353], [0.608, 0.607, 0.645], [0.895, 0.107, 0.854], [0.462, 0.251, 0.000], [0.749, 0.041, 0.111], [0.748, 0.458, 0.888], [0.250, 0.459, 0.611], [0.251, 0.958, 0.888], [0.248, 0.041, 0.390], [0.750, 0.962, 0.611], [0.250, 0.541, 0.112], [0.283, 0.775, 0.682], [0.715, 0.219, 0.318], [0.217, 0.225, 0.184], [0.282, 0.724, 0.318], [0.716, 0.275, 0.683], [0.783, 0.775, 0.817], [0.785, 0.724, 0.182], [0.217, 0.275, 0.817], [0.752, 0.538, 0.387]]
}

=====

(6)
{
  "formula": "Li2Mn2CoP3O12",
  "functional": "PBE with a Hubbard U",
  "state": "optimized geometry",
  "density_g_cm3": 3.3,
  "energy_ev_per_atom": -7.00,
  "formation_enthalpy_0k_ev_per_fu": -48.45,
  "cell": [[4.472, 7.315, 0.000], [-4.472, 7.315, 0.000], [0.000, 4.156, 7.148]],
  "species": ["Li", "Li", "Li", "Li", "O", "O", "O", "O", "O", "O", "O", "O", "O", "O", "O", "O", "O", "O", "O", "O", "O", "O", "O", "O", "O", "O", "O", "O", "P", "P", "P", "P", "P", "P", "Mn", "Mn", "Mn", "Mn", "Co", "Co"],
  "fractional_positions": [[0.362, 0.638, 0.500], [0.251, 0.151, 0.602], [0.655, 0.345, 0.000], [0.849, 0.749, 0.398], [0.764, 0.063, 0.149], [0.489, 0.820, 0.859], [0.999, 0.887, 0.927], [0.405, 0.681, 0.708], [0.595, 0.314, 0.784], [0.258, 0.911, 0.349], [0.417, 0.108, 0.014], [0.686, 0.405, 0.216], [0.037, 0.092, 0.563], [0.937, 0.236, 0.851], [0.180, 0.511, 0.141], [0.089, 0.742, 0.651], [0.098, 0.428, 0.502], [0.250, 0.419, 0.819], [0.572, 0.902, 0.498], [0.319, 0.595, 0.292], [0.744, 0.601, 0.684], [0.462, 0.187, 0.661], [0.113, 0.001, 0.073], [0.399, 0.256, 0.316], [0.908, 0.963, 0.437], [0.892, 0.583, 0.986], [0.581, 0.750, 0.181], [0.813, 0.538, 0.339], [0.250, 0.453, 0.306], [0.063, 0.937, 0.500], [0.958, 0.042, 0.000], [0.746, 0.562, 0.181], [0.438, 0.254, 0.819], [0.547, 0.750, 0.694], [0.145, 0.647, 0.895], [0.654, 0.153, 0.406], [0.847, 0.346, 0.594], [0.353, 0.855, 0.105], [0.994, 0.498, 0.757], [0.502, 0.006, 0.243]]
}

=====

(7)
{
  "formula": "Li4Mn3CoP4O16",
  "functional": "PBE with a Hubbard U",
  "state": "optimized geometry",
  "density_g_cm3": 3.4,
  "energy_ev_per_atom": -7.04,
  "formation_enthalpy_0k_ev_per_fu": -71.76,
  "cell": [[6.119, 0.000, 0.000], [0.000, 4.775, 0.000], [0.000, 0.037, 10.529]],
  "species": ["Li", "Li", "Li", "Li", "Mn", "Mn", "Mn", "O", "O", "O", "O", "O", "O", "O", "O", "O", "O", "O", "O", "O", "O", "O", "O", "P", "P", "P", "P", "Co"],
  "fractional_positions": [[0.250, 0.999, 0.001], [0.750, 0.999, 0.001], [0.749, 0.500, 0.499], [0.251, 0.500, 0.499], [0.000, 0.478, 0.220], [0.500, 0.521, 0.781], [0.000, 0.023, 0.718], [0.000, 0.241, 0.405], [0.202, 0.718, 0.837], [0.796, 0.791, 0.336], [0.299, 0.276, 0.166], [0.701, 0.276, 0.166], [0.000, 0.709, 0.044], [0.500, 0.763, 0.596], [0.798, 0.718, 0.837], [0.500, 0.207, 0.454], [0.000, 0.263, 0.905], [0.500, 0.734, 0.099], [0.204, 0.791, 0.336], [0.000, 0.789, 0.542], [0.299, 0.218, 0.661], [0.701, 0.218, 0.661], [0.500, 0.292, 0.959], [0.500, 0.412, 0.096], [0.000, 0.585, 0.907], [0.000, 0.919, 0.406], [0.500, 0.085, 0.591], [0.500, 0.975, 0.279]]
}

=====

(8)
{
  "formula": "Li4Mn3Co3Sb2O16",
  "functional": "PBE with a Hubbard U",
  "state": "optimized geometry",
  "density_g_cm3": 4.9,
  "energy_ev_per_atom": -6.28,
  "formation_enthalpy_0k_ev_per_fu": -53.01,
  "e_above_lowest_polymorph_ev_per_atom": 0.000,
  "cell": [[-2.940, 5.094, 0.000], [-0.141, -0.082, 9.744], [5.960, 0.046, -0.087]],
  "species": ["Co", "Co", "Co", "Sb", "Sb", "Mn", "Mn", "Mn", "O", "O", "O", "O", "O", "O", "O", "O", "O", "O", "O", "O", "O", "O", "O", "O", "Li", "Li", "Li", "Li"],
  "fractional_positions": [[0.830, 0.218, 0.171], [0.172, 0.715, 0.345], [0.341, 0.218, 0.171], [0.326, 0.985, 0.652], [0.670, 0.489, 0.341], [0.170, 0.713, 0.834], [0.664, 0.713, 0.834], [0.830, 0.208, 0.660], [0.027, 0.843, 0.493], [0.476, 0.846, 0.953], [0.466, 0.843, 0.493], [0.847, 0.595, 0.184], [0.665, 0.113, 0.329], [0.997, 0.299, 0.995], [0.337, 0.595, 0.184], [0.513, 0.349, 0.478], [0.518, 0.348, 0.035], [0.166, 0.097, 0.332], [0.164, 0.088, 0.832], [0.668, 0.088, 0.831], [0.843, 0.592, 0.687], [0.966, 0.349, 0.479], [0.331, 0.618, 0.662], [0.006, 0.800, 0.012], [0.333, 0.404, 0.667], [0.010, 0.489, 0.021], [0.659, 0.903, 0.318], [0.005, 0.989, 0.009]]
}